## Li6V3P8O29 (GGA+U)

Data for a geometry-optimized Li6V3P8O29 structure.

Lattice parameters (Å, degrees): 9.790 9.800 13.958 90.11 90.12 119.94
Atoms (fractional coordinates):
1 Li 0.092 0.328 0.059
2 Li 0.100 0.765 0.562
3 Li 0.340 0.661 0.884
4 Li 0.232 0.910 0.060
5 Li 0.676 0.769 0.058
6 Li 0.338 0.102 0.444
7 Li 0.663 0.902 0.564
8 Li 0.903 0.238 0.441
9 Li 0.766 0.668 0.442
10 Li 0.898 0.664 0.939
11 Li 0.014 0.043 0.987
12 Li 0.043 0.053 0.515
13 V 0.435 0.001 0.248
14 V 0.565 0.004 0.756
15 V 0.434 0.434 0.747
16 V 0.561 0.563 0.250
17 V 0.001 0.432 0.250
18 V 0.998 0.561 0.747
19 P 0.092 0.313 0.842
20 P 0.224 0.306 0.344
21 P 0.088 0.772 0.342
22 P 0.331 0.666 0.127
23 P 0.339 0.672 0.631
24 P 0.220 0.905 0.844
25 P 0.309 0.084 0.660
26 P 0.686 0.777 0.843
27 P 0.306 0.224 0.155
28 P 0.685 0.914 0.344
29 P 0.777 0.083 0.158
30 P 0.669 0.334 0.369
31 P 0.666 0.339 0.870
32 P 0.912 0.221 0.658
33 P 0.772 0.687 0.656
34 P 0.911 0.683 0.158
35 O 0.991 0.211 0.567
36 O 0.084 0.338 0.342
37 O 0.203 0.208 0.071
38 O 0.259 0.339 0.838
39 O 0.103 0.476 0.829
40 O 0.188 0.510 0.166
41 O 0.091 0.618 0.327
42 O 0.996 0.769 0.068
43 O 0.075 0.735 0.839
44 O 0.334 0.525 0.677
45 O 0.383 0.462 0.332
46 O 0.189 0.677 0.668
47 O 0.330 0.665 0.019
48 O 0.348 0.680 0.524
49 O 0.320 0.810 0.166
50 O 0.524 0.626 0.833
51 O 0.486 0.677 0.167
52 O 0.256 0.918 0.341
53 O 0.201 0.992 0.752
54 O 0.214 0.998 0.570
55 O 0.212 0.984 0.934
56 O 0.370 0.890 0.833
57 O 0.490 0.818 0.676
58 O 0.338 0.083 0.160
59 O 0.527 0.910 0.326
60 O 0.661 0.745 0.341
61 O 0.202 0.202 0.250
62 O 0.213 0.206 0.428
63 O 0.778 0.781 0.569
64 O 0.334 0.250 0.662
65 O 0.462 0.079 0.668
66 O 0.664 0.920 0.842
67 O 0.513 0.189 0.329
68 O 0.620 0.082 0.167
69 O 0.793 0.994 0.076
70 O 0.766 0.998 0.435
71 O 0.799 0.008 0.257
72 O 0.742 0.083 0.661
73 O 0.524 0.343 0.822
74 O 0.461 0.380 0.167
75 O 0.660 0.188 0.826
76 O 0.667 0.345 0.977
77 O 0.672 0.335 0.476
78 O 0.813 0.321 0.329
79 O 0.619 0.531 0.664
80 O 0.679 0.489 0.328
81 O 0.918 0.255 0.160
82 O 0.999 0.203 0.751
83 O 0.009 0.228 0.932
84 O 0.917 0.381 0.668
85 O 0.817 0.486 0.828
86 O 0.907 0.526 0.173
87 O 0.742 0.660 0.160
88 O 0.777 0.775 0.931
89 O 0.793 0.792 0.751
90 O 0.919 0.665 0.657
91 O 0.001 0.770 0.432
92 O 0.000 0.794 0.250

Calculated values
M_tot   3.0 μB/f.u.
Symmetry   No. 1
Raw total energy   -7.013 eV/atom
ΔH_f (0 K)   -122.125 eV/f.u.
Offset from the most stable computed form   34 kJ/mol of formula units

***

## LiVSiO4 (GGA+U)

Data for a geometry-optimized LiVSiO4 structure.

Lattice parameters (Å, degrees): 5.514 8.459 5.906 90.00 90.00 90.00
Atoms (fractional coordinates):
1 Li 0.000 0.995 0.000
2 Li 0.500 0.495 0.500
3 Li 0.500 0.255 0.000
4 Li 0.000 0.755 0.500
5 V 0.500 0.875 0.250
6 V 0.000 0.375 0.250
7 V 0.000 0.375 0.750
8 V 0.500 0.875 0.750
9 Si 0.250 0.625 0.000
10 Si 0.750 0.125 0.500
11 Si 0.750 0.625 0.000
12 Si 0.250 0.125 0.500
13 O 0.240 0.412 0.000
14 O 0.740 0.912 0.500
15 O 0.760 0.412 0.000
16 O 0.260 0.912 0.500
17 O 0.260 0.838 0.000
18 O 0.760 0.338 0.500
19 O 0.740 0.838 0.000
20 O 0.240 0.338 0.500
21 O 0.000 0.622 0.793
22 O 0.500 0.122 0.293
23 O 0.500 0.628 0.793
24 O 0.000 0.128 0.293
25 O 0.500 0.628 0.207
26 O 0.000 0.128 0.707
27 O 0.000 0.622 0.207
28 O 0.500 0.122 0.707

Calculated values
M_tot   0.0 μB/f.u.
Raw total energy   -7.312 eV/atom
ΔH_f (0 K)   -19.422 eV/f.u.
Offset from the most stable computed form   44 kJ/mol of formula units

***

## Mn3OF5 (GGA+U)

Data for a geometry-optimized Mn3OF5 structure.

Lattice parameters (Å, degrees): 3.237 4.923 14.706 90.00 90.00 90.00
Atoms (fractional coordinates):
1 Mn 0.000 0.773 0.006
2 Mn 0.000 0.726 0.333
3 Mn 0.000 0.782 0.658
4 Mn 0.500 0.218 0.158
5 Mn 0.500 0.227 0.506
6 Mn 0.500 0.274 0.833
7 O 0.500 0.949 0.600
8 O 0.000 0.051 0.100
9 F 0.500 0.932 0.272
10 F 0.500 0.958 0.934
11 F 0.000 0.068 0.772
12 F 0.000 0.042 0.434
13 F 0.000 0.421 0.228
14 F 0.000 0.436 0.566
15 F 0.000 0.476 0.903
16 F 0.500 0.564 0.066
17 F 0.500 0.524 0.403
18 F 0.500 0.579 0.728

Calculated values
M_tot   14.0 μB/f.u.
Symmetry   No. 31
Raw total energy   -6.502 eV/atom
ΔH_f (0 K)   -24.514 eV/f.u.
Offset from the most stable computed form   20 kJ/mol of formula units

***

## V2Te2O9 (GGA+U)

Data for a geometry-optimized V2Te2O9 structure.

Lattice parameters (Å, degrees): 9.754 7.364 10.254 84.84 90.00 90.00
Atoms (fractional coordinates):
1 V 0.748 0.005 0.041
2 V 0.248 0.995 0.459
3 V 0.252 0.995 0.959
4 V 0.752 0.005 0.541
5 V 0.533 0.292 0.232
6 V 0.033 0.708 0.268
7 V 0.467 0.708 0.768
8 V 0.967 0.292 0.732
9 Te 0.778 0.552 0.063
10 Te 0.278 0.448 0.437
11 Te 0.222 0.448 0.937
12 Te 0.722 0.552 0.563
13 Te 0.519 0.864 0.291
14 Te 0.019 0.136 0.209
15 Te 0.481 0.136 0.709
16 Te 0.981 0.864 0.791
17 O 0.451 0.351 0.097
18 O 0.951 0.649 0.403
19 O 0.549 0.649 0.903
20 O 0.049 0.351 0.597
21 O 0.955 0.556 0.148
22 O 0.455 0.444 0.352
23 O 0.045 0.444 0.852
24 O 0.545 0.556 0.648
25 O 0.641 0.081 0.925
26 O 0.141 0.919 0.575
27 O 0.359 0.919 0.075
28 O 0.859 0.081 0.425
29 O 0.859 0.195 0.053
30 O 0.359 0.805 0.447
31 O 0.141 0.805 0.947
32 O 0.641 0.195 0.553
33 O 0.865 0.065 0.691
34 O 0.365 0.935 0.809
35 O 0.135 0.935 0.309
36 O 0.635 0.065 0.191
37 O 0.849 0.834 0.931
38 O 0.349 0.166 0.569
39 O 0.151 0.166 0.069
40 O 0.651 0.834 0.431
41 O 0.062 0.095 0.827
42 O 0.562 0.905 0.673
43 O 0.697 0.413 0.217
44 O 0.438 0.095 0.327
45 O 0.806 0.762 0.626
46 O 0.306 0.238 0.874
47 O 0.194 0.238 0.374
48 O 0.694 0.762 0.126
49 O 0.803 0.413 0.717
50 O 0.303 0.587 0.783
51 O 0.197 0.587 0.283
52 O 0.938 0.905 0.173

Calculated values
Symmetry   No. 14
Raw total energy   -6.493 eV/atom
ΔH_f (0 K)   -25.007 eV/f.u.
Offset from the most stable computed form   0 kJ/mol of formula units

***

## KFe2P2O8 (GGA+U)

Data for a geometry-optimized KFe2P2O8 structure.

Lattice parameters (Å, degrees): 10.229 8.001 9.277 64.46 90.00 90.00
Atoms (fractional coordinates):
1 K 0.359 0.353 0.573
2 K 0.859 0.647 0.927
3 K 0.641 0.647 0.427
4 K 0.141 0.353 0.073
5 Fe 0.618 0.936 0.946
6 Fe 0.122 0.729 0.256
7 Fe 0.622 0.271 0.244
8 Fe 0.118 0.064 0.554
9 Fe 0.882 0.936 0.446
10 Fe 0.378 0.729 0.756
11 Fe 0.382 0.064 0.054
12 Fe 0.878 0.271 0.744
13 P 0.160 0.007 0.864
14 P 0.840 0.993 0.136
15 P 0.904 0.386 0.352
16 P 0.096 0.614 0.648
17 P 0.404 0.614 0.148
18 P 0.660 0.993 0.636
19 P 0.340 0.007 0.364
20 P 0.596 0.386 0.852
21 O 0.749 0.058 0.239
22 O 0.871 0.406 0.506
23 O 0.956 0.894 0.255
24 O 0.965 0.190 0.396
25 O 0.249 0.942 0.261
26 O 0.495 0.532 0.746
27 O 0.044 0.106 0.745
28 O 0.235 0.153 0.901
29 O 0.110 0.845 0.015
30 O 0.219 0.590 0.750
31 O 0.995 0.468 0.754
32 O 0.390 0.845 0.515
33 O 0.890 0.155 0.985
34 O 0.610 0.155 0.485
35 O 0.251 0.942 0.761
36 O 0.035 0.810 0.604
37 O 0.629 0.406 0.006
38 O 0.751 0.058 0.739
39 O 0.735 0.847 0.599
40 O 0.281 0.590 0.250
41 O 0.505 0.468 0.254
42 O 0.535 0.190 0.896
43 O 0.265 0.153 0.401
44 O 0.005 0.532 0.246
45 O 0.719 0.410 0.750
46 O 0.781 0.410 0.250
47 O 0.544 0.894 0.755
48 O 0.765 0.847 0.099
49 O 0.129 0.594 0.494
50 O 0.465 0.810 0.104
51 O 0.371 0.594 0.994
52 O 0.456 0.106 0.245

Calculated values
M_tot   9.0 μB/f.u.
Symmetry   No. 14
Raw total energy   -6.904 eV/atom
ΔH_f (0 K)   -31.293 eV/f.u.

***

## Na2W17O51 (GGA+U)

Data for a geometry-optimized Na2W17O51 structure.

Lattice parameters (Å, degrees): 65.403 15.862 8.603 29.81 26.57 14.04
Atoms (fractional coordinates):
1 Na 0.471 0.000 0.000
2 Na 0.941 0.000 0.000
3 W 0.030 0.498 0.503
4 W 0.089 0.498 0.495
5 W 0.148 0.498 0.498
6 W 0.206 0.500 0.500
7 W 0.264 0.502 0.502
8 W 0.322 0.503 0.505
9 W 0.382 0.502 0.498
10 W 0.440 0.505 0.500
11 W 0.501 0.496 0.502
12 W 0.559 0.498 0.504
13 W 0.619 0.497 0.497
14 W 0.677 0.500 0.499
15 W 0.735 0.500 0.501
16 W 0.793 0.503 0.503
17 W 0.853 0.502 0.496
18 W 0.911 0.504 0.498
19 W 0.972 0.495 0.500
20 O 0.029 0.000 0.504
21 O 0.028 0.505 0.001
22 O 0.088 0.000 0.500
23 O 0.999 0.504 0.496
24 O 0.087 0.505 0.000
25 O 0.147 0.000 0.500
26 O 0.059 0.500 0.500
27 O 0.206 0.000 0.500
28 O 0.147 0.500 0.000
29 O 0.116 0.504 0.505
30 O 0.265 0.000 0.500
31 O 0.206 0.500 0.000
32 O 0.177 0.500 0.500
33 O 0.324 0.000 0.500
34 O 0.265 0.500 0.000
35 O 0.235 0.500 0.500
36 O 0.325 0.495 0.000
37 O 0.383 0.000 0.496
38 O 0.296 0.496 0.495
39 O 0.441 0.000 0.495
40 O 0.383 0.495 0.999
41 O 0.353 0.500 0.500
42 O 0.500 0.000 0.504
43 O 0.441 0.500 0.000
44 O 0.412 0.496 0.504
45 O 0.500 0.500 0.000
46 O 0.558 0.000 0.504
47 O 0.471 0.500 0.500
48 O 0.617 0.000 0.501
49 O 0.558 0.505 0.000
50 O 0.529 0.504 0.495
51 O 0.616 0.504 0.000
52 O 0.677 0.000 0.500
53 O 0.588 0.500 0.500
54 O 0.735 0.000 0.500
55 O 0.676 0.500 0.000
56 O 0.646 0.504 0.505
57 O 0.735 0.500 0.000
58 O 0.794 0.000 0.500
59 O 0.706 0.500 0.500
60 O 0.795 0.496 0.000
61 O 0.854 0.000 0.496
62 O 0.766 0.496 0.495
63 O 0.912 0.000 0.496
64 O 0.854 0.495 0.000
65 O 0.823 0.500 0.500
66 O 0.970 0.000 0.505
67 O 0.912 0.500 0.001
68 O 0.883 0.496 0.505
69 O 0.971 0.500 0.000
70 O 0.941 0.500 0.500

Calculated values
M_tot   0.2 μB/f.u.
Symmetry   No. 2
Raw total energy   -7.404 eV/atom
ΔH_f (0 K)   -153.474 eV/f.u.